No. 1
! Na14Ta4Al4Si11SO48, relaxed, DFT GGA-PBE; values from VASP
&SYSTEM
  ibrav = 0, nat = 246, ntyp = 6
/
ATOMIC_SPECIES
Na 22.99 Na.upf
Ta 180.95 Ta.upf
Al 26.98 Al.upf
Si 28.09 Si.upf
S 32.06 S.upf
O 16.00 O.upf
CELL_PARAMETERS angstrom
8.934 0.000 0.000
-0.008 15.485 0.000
-0.025 -0.074 21.995
ATOMIC_POSITIONS crystal
Na 0.000 0.000 0.000
Na 0.000 0.966 0.332
Na 0.119 0.834 0.834
Na 0.133 0.807 0.166
Na 0.134 0.465 0.835
Na 0.134 0.495 0.499
Na 0.136 0.170 0.163
Na 0.175 0.156 0.833
Na 0.180 0.479 0.162
Na 0.302 0.982 0.411
Na 0.310 0.318 0.748
Na 0.311 0.651 0.082
Na 0.313 0.316 0.248
Na 0.318 0.988 0.921
Na 0.322 0.654 0.586
Na 0.438 0.486 0.665
Na 0.440 0.151 0.329
Na 0.442 0.824 0.001
Na 0.488 0.495 0.000
Na 0.495 0.840 0.332
Na 0.496 0.798 0.665
Na 0.498 0.170 0.667
Na 0.499 0.465 0.333
Na 0.619 0.301 0.163
Na 0.622 0.332 0.835
Na 0.631 0.665 0.166
Na 0.634 0.995 0.499
Na 0.635 0.965 0.834
Na 0.664 0.987 0.165
Na 0.680 0.658 0.834
Na 0.800 0.155 0.080
Na 0.802 0.481 0.412
Na 0.810 0.819 0.749
Na 0.811 0.820 0.254
Na 0.815 0.479 0.916
Na 0.822 0.154 0.586
Na 0.938 0.986 0.665
Na 0.941 0.651 0.331
Na 0.991 0.637 0.998
Na 0.996 0.298 0.665
Na 0.996 0.338 0.332
Na 0.998 0.670 0.667
Ta 0.303 0.979 0.561
Ta 0.309 0.650 0.936
Ta 0.309 0.985 0.768
Ta 0.312 0.652 0.230
Ta 0.323 0.653 0.437
Ta 0.803 0.154 0.936
Ta 0.803 0.479 0.561
Ta 0.809 0.152 0.228
Ta 0.810 0.485 0.768
Ta 0.811 0.821 0.103
Ta 0.812 0.479 0.059
Ta 0.824 0.153 0.437
Al 0.300 0.325 0.605
Al 0.307 0.327 0.392
Al 0.312 0.652 0.728
Al 0.312 0.987 0.268
Al 0.314 0.325 0.892
Al 0.320 0.981 0.066
Al 0.321 0.322 0.105
Al 0.800 0.825 0.605
Al 0.807 0.827 0.393
Al 0.810 0.821 0.895
Al 0.812 0.152 0.729
Al 0.812 0.484 0.269
Si 0.021 0.655 0.829
Si 0.034 0.317 0.499
Si 0.036 0.987 0.165
Si 0.101 0.824 0.996
Si 0.108 0.487 0.664
Si 0.113 0.152 0.331
Si 0.159 0.834 0.666
Si 0.160 0.504 0.333
Si 0.160 0.801 0.334
Si 0.164 0.135 0.664
Si 0.170 0.454 0.999
Si 0.445 0.128 0.164
Si 0.451 0.456 0.498
Si 0.451 0.845 0.167
Si 0.452 0.506 0.829
Si 0.460 0.795 0.830
Si 0.519 0.155 0.829
Si 0.525 0.483 0.168
Si 0.534 0.818 0.499
Si 0.586 0.315 0.999
Si 0.607 0.987 0.664
Si 0.614 0.652 0.332
Si 0.659 0.334 0.666
Si 0.659 0.965 0.996
Si 0.660 0.005 0.333
Si 0.660 0.300 0.334
Si 0.664 0.635 0.664
Si 0.669 0.675 0.995
Si 0.950 0.007 0.831
Si 0.951 0.957 0.498
Si 0.953 0.627 0.168
Si 0.962 0.294 0.829
Si 0.963 0.341 0.168
S 0.172 0.176 0.999
S 0.453 0.176 0.499
S 0.953 0.676 0.499
O 0.001 0.165 0.995
O 0.121 0.664 0.495
O 0.125 0.634 0.890
O 0.129 0.304 0.561
O 0.129 0.670 0.771
O 0.132 0.335 0.438
O 0.133 0.003 0.104
O 0.133 0.966 0.225
O 0.135 0.974 0.504
O 0.136 0.999 0.827
O 0.137 0.639 0.170
O 0.140 0.327 0.157
O 0.141 0.305 0.839
O 0.187 0.901 0.724
O 0.190 0.737 0.273
O 0.191 0.569 0.392
O 0.197 0.227 0.054
O 0.198 0.066 0.609
O 0.201 0.403 0.936
O 0.205 0.734 0.994
O 0.206 0.399 0.661
O 0.207 0.909 0.004
O 0.208 0.064 0.326
O 0.208 0.573 0.671
O 0.212 0.239 0.341
O 0.230 0.216 0.943
O 0.234 0.087 0.002
O 0.242 0.893 0.327
O 0.243 0.411 0.336
O 0.243 0.556 0.994
O 0.244 0.553 0.274
O 0.244 0.742 0.671
O 0.245 0.088 0.724
O 0.246 0.415 0.059
O 0.246 0.748 0.389
O 0.247 0.227 0.658
O 0.247 0.884 0.609
O 0.370 0.555 0.493
O 0.374 0.088 0.226
O 0.374 0.880 0.105
O 0.375 0.553 0.771
O 0.376 0.226 0.157
O 0.376 0.416 0.559
O 0.376 0.751 0.891
O 0.378 0.891 0.826
O 0.381 0.410 0.836
O 0.381 0.745 0.171
O 0.388 0.086 0.503
O 0.392 0.215 0.443
O 0.410 0.237 0.841
O 0.416 0.399 0.162
O 0.416 0.734 0.493
O 0.417 0.066 0.826
O 0.418 0.571 0.171
O 0.423 0.402 0.437
O 0.425 0.227 0.554
O 0.427 0.907 0.504
O 0.428 0.062 0.108
O 0.429 0.733 0.772
O 0.430 0.568 0.891
O 0.430 0.904 0.226
O 0.479 0.972 0.005
O 0.480 0.305 0.340
O 0.480 0.328 0.656
O 0.480 0.998 0.327
O 0.484 0.640 0.671
O 0.485 0.665 0.994
O 0.490 0.334 0.938
O 0.493 0.305 0.061
O 0.493 0.969 0.723
O 0.494 0.634 0.388
O 0.495 0.004 0.606
O 0.500 0.671 0.273
O 0.621 0.164 0.495
O 0.626 0.173 0.771
O 0.627 0.504 0.107
O 0.629 0.804 0.561
O 0.630 0.133 0.888
O 0.632 0.468 0.226
O 0.632 0.835 0.438
O 0.634 0.140 0.171
O 0.635 0.474 0.504
O 0.636 0.831 0.161
O 0.637 0.498 0.827
O 0.639 0.807 0.838
O 0.687 0.401 0.724
O 0.691 0.236 0.273
O 0.691 0.902 0.938
O 0.692 0.069 0.392
O 0.694 0.734 0.058
O 0.696 0.404 0.004
O 0.698 0.566 0.609
O 0.706 0.233 0.994
O 0.706 0.899 0.661
O 0.707 0.074 0.672
O 0.709 0.564 0.326
O 0.712 0.739 0.341
O 0.741 0.919 0.057
O 0.742 0.393 0.326
O 0.742 0.578 0.002
O 0.743 0.911 0.336
O 0.744 0.052 0.274
O 0.744 0.242 0.672
O 0.745 0.587 0.724
O 0.747 0.249 0.389
O 0.747 0.384 0.609
O 0.747 0.720 0.938
O 0.747 0.727 0.658
O 0.752 0.057 0.994
O 0.870 0.055 0.493
O 0.874 0.052 0.772
O 0.874 0.585 0.226
O 0.875 0.250 0.889
O 0.875 0.386 0.109
O 0.876 0.916 0.559
O 0.879 0.245 0.171
O 0.879 0.911 0.838
O 0.880 0.725 0.161
O 0.881 0.391 0.826
O 0.888 0.586 0.502
O 0.892 0.715 0.443
O 0.914 0.739 0.837
O 0.916 0.234 0.493
O 0.918 0.566 0.826
O 0.919 0.071 0.170
O 0.920 0.901 0.159
O 0.924 0.902 0.437
O 0.926 0.407 0.504
O 0.926 0.727 0.554
O 0.928 0.569 0.106
O 0.931 0.070 0.892
O 0.932 0.234 0.771
O 0.935 0.403 0.226
O 0.979 0.804 0.340
O 0.980 0.498 0.326
O 0.980 0.828 0.656
O 0.984 0.140 0.671
O 0.987 0.474 0.003
O 0.993 0.836 0.938
O 0.994 0.469 0.723
O 0.995 0.134 0.388
O 0.995 0.504 0.606
O 0.996 0.802 0.057
O 0.998 0.171 0.273
! - Calculated density: 3704 kg/m3
! - Size of the total moment: 0.00 μB/f.u.
! - Formation energy from the elements: -2949 meV/atom


No. 2
! Na6TaAl3Si4S2O24, relaxed, DFT GGA-PBE; values from VASP
&SYSTEM
  ibrav = 0, nat = 120, ntyp = 6
/
ATOMIC_SPECIES
Na 22.99 Na.upf
Ta 180.95 Ta.upf
Al 26.98 Al.upf
Si 28.09 Si.upf
S 32.06 S.upf
O 16.00 O.upf
CELL_PARAMETERS angstrom
8.774 0.000 0.000
4.353 7.643 0.000
0.113 0.222 21.881
ATOMIC_POSITIONS crystal
Na 0.000 0.000 0.000
Na 0.000 0.631 0.243
Na 0.011 0.262 0.500
Na 0.294 0.304 0.665
Na 0.304 0.671 0.159
Na 0.320 0.977 0.583
Na 0.335 0.967 0.078
Na 0.362 0.641 0.497
Na 0.376 0.271 0.992
Na 0.628 0.645 0.998
Na 0.633 0.011 0.493
Na 0.654 0.321 0.909
Na 0.662 0.300 0.409
Na 0.680 0.932 0.164
Na 0.688 0.975 0.828
Na 0.700 0.604 0.325
Na 0.963 0.983 0.327
Na 0.996 0.626 0.742
Ta 0.008 0.637 0.889
Ta 0.014 0.640 0.391
Ta 0.331 0.970 0.226
Al 0.015 0.623 0.599
Al 0.323 0.983 0.430
Al 0.328 0.988 0.729
Al 0.366 0.954 0.930
Al 0.662 0.335 0.767
Al 0.666 0.309 0.062
Al 0.683 0.302 0.269
Al 0.686 0.285 0.563
Al 0.985 0.667 0.101
Si 0.004 0.929 0.502
Si 0.046 0.262 0.331
Si 0.295 0.641 0.000
Si 0.303 0.340 0.501
Si 0.344 0.255 0.828
Si 0.350 0.674 0.333
Si 0.612 0.684 0.827
Si 0.616 0.985 0.332
Si 0.685 0.580 0.161
Si 0.707 0.938 0.998
Si 0.949 0.027 0.162
Si 0.957 0.305 0.663
S 0.003 0.350 0.998
S 0.051 0.978 0.829
S 0.379 0.310 0.162
S 0.382 0.597 0.663
S 0.675 0.010 0.663
S 0.712 0.639 0.499
O 0.016 0.460 0.337
O 0.030 0.815 0.834
O 0.032 0.792 0.556
O 0.037 0.430 0.051
O 0.128 0.000 0.886
O 0.128 0.139 0.391
O 0.152 0.997 0.166
O 0.156 0.174 0.990
O 0.159 0.130 0.671
O 0.161 0.944 0.776
O 0.162 0.671 0.334
O 0.167 0.668 0.058
O 0.169 0.432 0.557
O 0.169 0.453 0.837
O 0.172 0.173 0.271
O 0.182 0.942 0.491
O 0.200 0.602 0.941
O 0.203 0.463 0.155
O 0.204 0.611 0.658
O 0.205 0.474 0.441
O 0.298 0.804 0.272
O 0.303 0.822 0.989
O 0.304 0.176 0.768
O 0.322 0.148 0.491
O 0.364 0.771 0.670
O 0.366 0.146 0.167
O 0.368 0.139 0.890
O 0.375 0.769 0.391
O 0.459 0.338 0.217
O 0.461 0.478 0.717
O 0.488 0.515 0.607
O 0.489 0.275 0.106
O 0.489 0.466 0.005
O 0.493 0.332 0.509
O 0.504 0.787 0.168
O 0.504 0.999 0.392
O 0.511 0.764 0.891
O 0.511 0.958 0.992
O 0.511 0.997 0.667
O 0.514 0.486 0.322
O 0.522 0.819 0.770
O 0.523 0.270 0.818
O 0.537 0.796 0.493
O 0.538 0.938 0.270
O 0.632 0.505 0.102
O 0.638 0.128 0.608
O 0.646 0.487 0.823
O 0.648 0.148 0.322
O 0.690 0.130 0.004
O 0.691 0.482 0.504
O 0.695 0.475 0.224
O 0.698 0.093 0.718
O 0.795 0.805 0.056
O 0.797 0.669 0.551
O 0.811 0.802 0.338
O 0.812 0.671 0.837
O 0.821 0.605 0.442
O 0.828 0.123 0.504
O 0.829 0.107 0.222
O 0.829 0.330 0.721
O 0.831 0.837 0.655
O 0.836 0.843 0.938
O 0.841 0.335 0.002
O 0.852 0.612 0.154
O 0.854 0.282 0.324
O 0.862 0.141 0.100
O 0.867 0.280 0.601
O 0.870 0.125 0.824
O 0.963 0.845 0.439
O 0.970 0.463 0.942
O 0.984 0.480 0.656
O 0.984 0.823 0.158
! - Calculated density: 3260 kg/m3
! - Size of the total moment: 0.00 μB/f.u.
! - Formation energy from the elements: -2758 meV/atom


Look up the size of the total moment of the second one.
0.00 μB/f.u.


Among the records above, which one has the highest calculated density?
Na14Ta4Al4Si11SO48